Arrangement A

K8MgMn4O16: relaxed, GGA+U.

Lattice parameters (Å, degrees): 5.8607 8.1146 10.9938 88.24 87.48 88.87
Closest atoms and distances in Å follow each position.
Space group P1 (No. 1)
Symmetry-distinct sites (fractional):
K  0.0000  0.0000  0.0000 x1  4 O 2.73-2.86
K  0.0076  0.2435  0.6640 x1  6 O 2.60-2.75
K  0.0151  0.7423  0.6450 x1  6 O 2.76-3.05
K  0.0348  0.4426  0.2944 x1  6 O 2.80-3.06
K  0.4861  0.0477  0.5028 x1  6 O 2.78-3.09
K  0.4976  0.7940  0.2367 x1  6 O 2.70-2.93
K  0.5108  0.4511  0.7634 x1  5 O 2.66-2.88
K  0.5214  0.2556  0.1145 x1  6 O 2.76-2.98
Mg  0.5888  0.7060  0.9624 x1  4 O 1.95-2.01
Mn  0.0646  0.5047  0.9778 x1  4 O 1.69-1.77
Mn  0.4913  0.9768  0.8285 x1  4 O 1.68-1.79
Mn  0.5405  0.5105  0.4654 x1  4 O 1.66-1.67
Mn  0.9994  0.9849  0.3393 x1  4 O 1.65-1.68
O  0.0002  0.3266  0.0542 x1  1 Mn 1.69
O  0.0356  0.4908  0.8254 x1  1 Mn 1.70
O  0.0372  0.7863  0.3138 x1  1 Mn 1.65
O  0.2258  0.0907  0.2872 x1  1 Mn 1.67
O  0.2306  0.9964  0.7704 x1  1 Mn 1.68
O  0.3540  0.5444  0.0037 x1  1 Mn 1.77, 1 Mg 1.95
O  0.3645  0.3765  0.5369 x1  1 Mn 1.67
O  0.4524  0.7034  0.4866 x1  1 Mn 1.66
O  0.4765  0.9385  0.9894 x1  1 Mn 1.79
O  0.5502  0.4758  0.3164 x1  1 Mn 1.67
O  0.6185  0.7867  0.7895 x1  1 Mn 1.76
O  0.6560  0.1410  0.7951 x1  1 Mn 1.68
O  0.7691  0.0531  0.2682 x1  1 Mn 1.67
O  0.7964  0.4835  0.5240 x1  1 Mn 1.67
O  0.8832  0.6614  0.0348 x1  1 Mn 1.75, 1 Mg 1.95
O  0.9636  0.0120  0.4894 x1  1 Mn 1.68

Computed properties:
Size of the total moment, μB per formula unit: 6.0
Crystal system: triclinic

=====

Arrangement B

K8MgMn4O16: relaxed, GGA+U.

Lattice parameters (Å, degrees): 5.8157 8.8104 10.4337 86.69 87.73 89.77
Closest atoms and distances in Å follow each position.
Space group P1 (No. 1)
Symmetry-distinct sites (fractional):
K  0.0000  0.0000  0.0000 x1  6 O 2.62-2.88
K  0.0123  0.1188  0.5845 x1  5 O 2.71-2.96
K  0.0315  0.3885  0.8397 x1  6 O 2.69-2.91
K  0.4063  0.7759  0.7622 x1  4 O 2.73-3.05
K  0.4608  0.4502  0.4843 x1  7 O 2.75-3.06
K  0.4734  0.9341  0.4081 x1  6 O 2.67-2.87
K  0.5214  0.2507  0.1040 x1  3 O 2.60-2.88
K  0.9299  0.6539  0.3155 x1  6 O 2.80-3.14
Mg  0.8170  0.6789  0.9715 x1  4 O 1.91-2.04
Mn  0.4007  0.6840  0.1039 x1  4 O 1.67-1.75
Mn  0.5116  0.1967  0.7483 x1  4 O 1.65-1.67
Mn  0.9277  0.6832  0.6223 x1  4 O 1.70-1.77
Mn  0.9954  0.2154  0.2564 x1  4 O 1.65-1.68
O  0.0296  0.5082  0.5891 x1  1 Mn 1.70
O  0.0524  0.2660  0.1005 x1  1 Mn 1.68
O  0.1161  0.8212  0.5646 x1  1 Mn 1.71
O  0.1187  0.6964  0.0515 x1  1 Mn 1.75
O  0.2391  0.2032  0.3353 x1  1 Mn 1.67
O  0.2821  0.1042  0.8134 x1  1 Mn 1.67
O  0.4069  0.6764  0.2644 x1  1 Mn 1.67
O  0.4733  0.3824  0.7531 x1  1 Mn 1.65
O  0.5407  0.1515  0.5954 x1  1 Mn 1.67
O  0.5665  0.5387  0.0394 x1  1 Mn 1.75
O  0.5770  0.8300  0.0345 x1  1 Mn 1.75
O  0.6722  0.7133  0.5505 x1  1 Mn 1.70
O  0.7457  0.1498  0.8290 x1  1 Mn 1.67
O  0.8217  0.3441  0.3171 x1  1 Mn 1.65
O  0.8730  0.0441  0.2616 x1  1 Mn 1.67
O  0.8935  0.6934  0.7914 x1  1 Mn 1.77, 1 Mg 1.91

Computed properties:
Size of the total moment, μB per formula unit: 6.0
Crystal system: triclinic

=====

Result of the stability comparison: arrangement A is the most stable of them.

=====

Arrangement A

CuWO4: relaxed, GGA+U.

Lattice parameters (Å, degrees): 4.7331 4.9781 5.9260 87.07 83.25 86.62
Closest atoms and distances in Å follow each position.
Space group P-1 (No. 2)
Symmetry-distinct sites (fractional):
Cu  0.0014  0.2530  0.3393 x2  4 O 1.93-2.02
W  0.4919  0.2531  0.8296 x2  4 O 1.82-2.01
O  0.2298  0.9078  0.3837 x2  1 W 1.89, 2 Cu 2.00-2.02
O  0.2492  0.4273  0.6466 x2  1 W 1.82, 1 Cu 1.93
O  0.2837  0.4305  0.1195 x2  1 Cu 1.97, 2 W 2.01-2.09
O  0.2844  0.9436  0.9099 x2  1 W 1.89

Computed properties:
Size of the total moment, μB per formula unit: 1.0
Crystal system: triclinic

=====

Arrangement B

CuWO4: relaxed, GGA+U.

Lattice parameters (Å, degrees): 6.8198 9.0341 12.1281 90.00 90.49 90.00
Closest atoms and distances in Å follow each position.
Space group P2_1/c (No. 14)
Symmetry-distinct sites (fractional):
Cu  0.1260  0.0408  0.1094 x4  4 O 1.92-1.95
Cu  0.3207  0.6141  0.1081 x4  4 O 1.91-1.97
W  0.0920  0.6016  0.8616 x4  4 O 1.79-1.83
W  0.3952  0.0583  0.8775 x4  4 O 1.81-1.89
O  0.0365  0.5731  0.1131 x4  1 W 1.83, 1 Cu 1.97
O  0.0837  0.2462  0.6195 x4  1 W 1.79, 1 Cu 1.95
O  0.1426  0.0104  0.9179 x4  1 W 1.85, 1 Cu 1.92
O  0.1823  0.6104  0.7199 x4  1 W 1.83, 1 Cu 1.95
O  0.3040  0.6339  0.9514 x4  1 W 1.83, 1 Cu 1.91
O  0.3824  0.0055  0.7341 x4  1 W 1.81, 1 Cu 1.92
O  0.4012  0.0661  0.0702 x4  1 W 1.89, 1 Cu 1.95
O  0.4504  0.2459  0.3762 x4  1 W 1.81, 1 Cu 1.97

Computed properties:
Size of the total moment, μB per formula unit: 1.0
Crystal system: monoclinic

=====

Result of the stability comparison: arrangement A is the most stable of them.

=====

Arrangement A

Li2FeF4: relaxed, GGA+U.

Lattice parameters (Å, degrees): 5.0474 9.8635 3.1458 90.00 90.00 90.00
Closest atoms and distances in Å follow each position.
Space group Pbam (No. 55)
Symmetry-distinct sites (fractional):
Li  0.0282  0.2052  0.0000 x4  4 F 1.92-2.06
Fe  0.0000  0.5000  0.5000 x2  6 F 2.03-2.14
F  0.2009  0.3941  0.0000 x4  2 Li 1.92-2.06, 2 Fe 2.14
F  0.2425  0.1584  0.5000 x4  2 Li 1.96, 1 Fe 2.03

Computed properties:
Size of the total moment, μB per formula unit: 4.0
Crystal system: orthorhombic

=====

Arrangement B

Li2FeF4: relaxed, GGA+U.

Lattice parameters (Å, degrees): 8.7896 7.4922 17.8689 90.00 119.11 90.00
Closest atoms and distances in Å follow each position.
Space group P2_1/c (No. 14)
Symmetry-distinct sites (fractional):
Li  0.0223  0.1697  0.4232 x4  4 F 1.89-1.91
Li  0.0428  0.7433  0.9270 x4  4 F 1.87-1.94
Li  0.3077  0.7478  0.7304 x4  4 F 1.87-2.01
Li  0.3215  0.1695  0.2414 x4  4 F 1.88-1.92
Li  0.3454  0.6531  0.4113 x4  4 F 1.87-1.96
Li  0.3587  0.2341  0.4124 x4  4 F 1.87-1.93
Fe  0.0534  0.0469  0.7653 x4  3 F 1.95-2.00
Fe  0.3245  0.0437  0.0845 x4  5 F 2.03-2.25
Fe  0.3376  0.0533  0.5856 x4  5 F 2.02-2.19
F  0.1039  0.2098  0.6950 x4  2 Li 1.90-1.94, 1 Fe 1.95
F  0.1103  0.2248  0.8553 x4  2 Li 1.90-1.93, 1 Fe 1.96
F  0.1213  0.2317  0.0344 x4  2 Li 1.89, 1 Fe 2.10
F  0.1720  0.6903  0.2905 x4  2 Li 1.96-2.01, 1 Fe 2.00
F  0.1731  0.5333  0.9608 x4  2 Li 1.87-1.91, 1 Fe 2.08
F  0.2164  0.5996  0.1334 x4  2 Li 1.90-1.91, 1 Fe 2.02
F  0.2241  0.5888  0.4691 x4  2 Li 1.87-1.88, 1 Fe 2.06
F  0.2387  0.5354  0.6675 x4  2 Li 1.87-1.92, 1 Fe 2.05
F  0.4215  0.0734  0.3523 x4  2 Li 1.87-1.88, 1 Fe 2.08
F  0.4337  0.0535  0.8797 x4  2 Li 1.92-1.93, 1 Fe 2.03
F  0.4359  0.2385  0.5310 x4  2 Li 1.87-1.89
F  0.4531  0.2490  0.1891 x4  2 Li 1.88-1.90

Computed properties:
Size of the total moment, μB per formula unit: 4.0
Crystal system: monoclinic

=====

Arrangement C

Li2FeF4: relaxed, GGA+U.

Lattice parameters (Å, degrees): 10.2152 7.1297 10.0554 90.00 117.82 90.00
Closest atoms and distances in Å follow each position.
Space group P2_1/c (No. 14)
Symmetry-distinct sites (fractional):
Li  0.1258  0.1269  0.0692 x4  5 F 1.91-2.06
Li  0.1544  0.5224  0.0738 x4  4 F 1.87-1.97
Li  0.3435  0.0069  0.9262 x4  4 F 1.93-2.05
Li  0.3555  0.0899  0.4295 x4  3 F 2.00-2.03
Fe  0.0208  0.7119  0.7604 x4  5 F 1.97-2.15
Fe  0.4832  0.7125  0.2474 x4  5 F 1.95-2.14
F  0.0126  0.1644  0.4390 x4  3 Li 1.94-1.97, 1 Fe 2.07
F  0.0368  0.5334  0.3805 x4  2 Li 2.03-2.06, 2 Fe 2.14-2.15
F  0.1850  0.2216  0.7574 x4  2 Li 2.01-2.24, 1 Fe 2.03
F  0.2027  0.5954  0.9163 x4  2 Li 1.94-2.00, 1 Fe 1.97
F  0.2997  0.6367  0.2469 x4  2 Li 1.87-1.94, 1 Fe 1.95
F  0.3140  0.1517  0.0745 x4  2 Li 1.91-1.95, 1 Fe 2.06
F  0.4918  0.5343  0.8596 x4  2 Li 2.00-2.03, 2 Fe 2.11-2.14
F  0.4951  0.1655  0.9238 x4  2 Li 1.93-2.05, 1 Fe 2.03

Computed properties:
Size of the total moment, μB per formula unit: 4.0
Crystal system: monoclinic

=====

Result of the stability comparison: arrangement A is the most stable of them.

=====

Arrangement A

Li5Co3O8: relaxed, GGA+U.

Lattice parameters (Å, degrees): 10.1570 5.8212 4.9790 90.00 109.42 90.00
Closest atoms and distances in Å follow each position.
Space group C2/m (No. 12)
Symmetry-distinct sites (fractional):
Li  0.0000  0.0000  0.0000 x2  6 O 2.08-2.10
Li  0.2487  0.0000  0.4976 x4  6 O 2.01-2.22
Li  0.2500  0.2500  0.0000 x4  6 O 2.10-2.16
Co  0.0000  0.2427  0.5000 x4  6 O 1.94-2.05
Co  0.0000  0.5000  0.0000 x2  6 O 1.89-1.92
O  0.1094  0.2719  0.2437 x8  2 Co 1.89-1.96, 2 Li 2.07-2.08
O  0.1121  0.5000  0.7567 x4  3 Co 1.92-2.05, 2 Li 2.10
O  0.1174  0.0000  0.7240 x4  2 Co 1.94, 4 Li 2.01-2.14

Computed properties:
Size of the total moment, μB per formula unit: 2.0
Crystal system: monoclinic

=====

Arrangement B

Li5Co3O8: relaxed, GGA+U.

Lattice parameters (Å, degrees): 19.0929 2.8835 5.0566 90.00 94.54 90.00
Closest atoms and distances in Å follow each position.
Space group C2/m (No. 12)
Symmetry-distinct sites (fractional):
Li  0.0000  0.0000  0.0000 x2  6 O 2.05-2.08
Li  0.1218  0.0000  0.3759 x4  6 O 2.03-2.16
Li  0.1222  0.5000  0.8818 x4  6 O 2.11-2.24
Co  0.0000  0.5000  0.5000 x2  6 O 1.80-1.93
Co  0.2504  0.0000  0.7501 x4  6 O 1.99-2.06
O  0.0545  0.0000  0.6664 x4  2 Co 1.93, 2 Li 2.03-2.05
O  0.0553  0.5000  0.2268 x4  1 Co 1.80
O  0.1899  0.0000  0.0698 x4  3 Co 2.01-2.06, 3 Li 2.10-2.11
O  0.1917  0.5000  0.5743 x4  3 Co 1.99-2.05, 3 Li 2.12-2.16

Computed properties:
Size of the total moment, μB per formula unit: 0.0
Crystal system: monoclinic

=====

Arrangement C

Li5Co3O8: relaxed, GGA+U.

Lattice parameters (Å, degrees): 9.8317 2.9841 9.8485 90.00 102.60 90.00
Closest atoms and distances in Å follow each position.
Space group C2/m (No. 12)
Symmetry-distinct sites (fractional):
Li  0.0000  0.0000  0.0000 x2  6 O 1.97-2.15
Li  0.2449  0.5000  0.1259 x4  6 O 2.09-2.17
Li  0.2461  0.0000  0.3732 x4  6 O 1.98-2.16
Co  0.0000  0.0000  0.5000 x2  6 O 1.89-2.07
Co  0.0015  0.5000  0.7609 x4  2 O 1.73-1.93
O  0.1104  0.5000  0.4259 x4  3 Co 1.93-2.07, 2 Li 2.14
O  0.1121  0.0000  0.1915 x4  4 Li 1.97-2.17, 2 Co 1.98
O  0.1155  0.0000  0.6809 x4  3 Co 1.89-2.12, 1 Li 2.09
O  0.1193  0.5000  0.9196 x4  1 Co 1.73

Computed properties:
Size of the total moment, μB per formula unit: 2.0
Crystal system: monoclinic

=====

Result of the stability comparison: arrangement A is the most stable of them.